Crystalline Na3YSn3P6O24 at its relaxed geometry, computed with PBE.

a b c (Å): 8.877 8.906 23.005
angles (deg): 90.13 90.02 119.80
Atoms (fractional coordinates):
Na (0.000, 0.000, 0.000)
Na (0.011, 0.000, 0.501)
Na (0.048, 0.350, 0.586)
Na (0.322, 0.351, 0.084)
Na (0.345, 0.679, 0.166)
Na (0.357, 0.692, 0.673)
Na (0.381, 0.018, 0.252)
Na (0.678, 0.346, 0.839)
Na (0.690, 0.358, 0.338)
Y (0.345, 0.688, 0.017)
Y (0.353, 0.688, 0.522)
Y (0.691, 0.355, 0.191)
Sn (0.004, 0.007, 0.151)
Sn (0.009, 0.014, 0.357)
Sn (0.011, 0.007, 0.654)
Sn (0.013, 0.014, 0.852)
Sn (0.344, 0.673, 0.321)
Sn (0.345, 0.678, 0.820)
Sn (0.675, 0.345, 0.484)
Sn (0.676, 0.346, 0.693)
Sn (0.681, 0.345, 0.984)
P (0.014, 0.308, 0.752)
P (0.021, 0.729, 0.257)
P (0.041, 0.678, 0.916)
P (0.044, 0.380, 0.421)
P (0.294, 0.305, 0.254)
P (0.305, 0.010, 0.753)
P (0.346, 0.377, 0.919)
P (0.347, 0.981, 0.417)
P (0.380, 0.053, 0.090)
P (0.385, 0.336, 0.589)
P (0.646, 0.677, 0.418)
P (0.647, 0.982, 0.917)
P (0.685, 0.063, 0.590)
P (0.686, 0.644, 0.085)
P (0.715, 0.001, 0.256)
P (0.717, 0.720, 0.753)
P (0.959, 0.635, 0.589)
P (0.973, 0.337, 0.086)
O (0.020, 0.840, 0.908)
O (0.024, 0.198, 0.413)
O (0.043, 0.230, 0.695)
O (0.055, 0.842, 0.201)
O (0.128, 0.647, 0.862)
O (0.131, 0.496, 0.367)
O (0.138, 0.649, 0.585)
O (0.146, 0.453, 0.477)
O (0.146, 0.711, 0.971)
O (0.158, 0.490, 0.081)
O (0.179, 0.488, 0.759)
O (0.184, 0.196, 0.909)
O (0.186, 0.005, 0.412)
O (0.190, 0.226, 0.197)
O (0.192, 0.721, 0.261)
O (0.194, 0.978, 0.698)
O (0.200, 0.048, 0.092)
O (0.201, 0.171, 0.594)
O (0.205, 0.187, 0.307)
O (0.222, 0.042, 0.807)
O (0.307, 0.484, 0.260)
O (0.316, 0.448, 0.975)
O (0.317, 0.871, 0.470)
O (0.324, 0.847, 0.760)
O (0.353, 0.873, 0.084)
O (0.355, 0.492, 0.585)
O (0.375, 0.497, 0.865)
O (0.375, 0.899, 0.361)
O (0.465, 0.309, 0.533)
O (0.468, 0.175, 0.036)
O (0.472, 0.319, 0.252)
O (0.477, 0.133, 0.146)
O (0.487, 0.174, 0.749)
O (0.495, 0.364, 0.644)
O (0.511, 0.359, 0.923)
O (0.512, 0.162, 0.423)
O (0.523, 0.661, 0.080)
O (0.528, 0.883, 0.586)
O (0.529, 0.896, 0.862)
O (0.532, 0.647, 0.363)
O (0.532, 0.835, 0.261)
O (0.534, 0.701, 0.760)
O (0.569, 0.708, 0.473)
O (0.575, 0.877, 0.972)
O (0.657, 0.536, 0.140)
O (0.662, 0.149, 0.644)
O (0.663, 0.163, 0.922)
O (0.663, 0.512, 0.423)
O (0.685, 0.156, 0.254)
O (0.699, 0.538, 0.748)
O (0.712, 0.558, 0.030)
O (0.720, 0.176, 0.535)
O (0.795, 0.830, 0.698)
O (0.795, 0.974, 0.200)
O (0.825, 0.028, 0.310)
O (0.829, 0.838, 0.412)
O (0.830, 0.004, 0.908)
O (0.832, 0.803, 0.807)
O (0.850, 0.327, 0.748)
O (0.851, 0.555, 0.533)
O (0.853, 0.824, 0.091)
O (0.857, 0.055, 0.595)
O (0.859, 0.513, 0.922)
O (0.860, 0.361, 0.424)
O (0.861, 0.312, 0.031)
O (0.864, 0.549, 0.255)
O (0.875, 0.521, 0.643)
O (0.894, 0.362, 0.141)
O (0.975, 0.816, 0.594)
O (0.983, 0.190, 0.805)
O (0.988, 0.170, 0.090)
O (0.999, 0.817, 0.311)

Properties
- electronic total energy (eV per atom) = -6.916
- symmetry = P1
- energy with MP2020 corrections (eV per atom) = -7.36
- energy of formation (eV per formula unit) = -98.7